216
Lattice="-9.554 -9.554 9.502 -9.554 9.554 -9.502 9.554 -9.554 -9.502" Properties=species:S:1:pos:R:3 comment="Sr4Al6MoO16 (PBE+U, optimized geometry)" de_polymorph_ev_per_atom=0.000 space_group="I4_1/acd (142)" magnetic_moment_mub_per_fu=0.00 pbc="T T T"
Sr -7.223 -2.445 -7.126
Sr -11.886 -2.445 2.375
Sr 2.332 -2.445 -2.375
Sr -2.332 -2.445 -11.877
Sr -2.332 -7.109 -2.375
Sr 2.332 -7.109 -11.877
Sr -11.886 -7.109 -7.126
Sr -7.223 -7.109 2.375
Sr -2.474 2.303 -7.126
Sr -7.080 -7.251 -7.126
Sr -12.028 2.303 -2.375
Sr -7.080 2.303 -11.877
Sr -7.080 -11.857 -2.375
Sr -2.474 -2.303 -2.375
Sr 2.474 -11.857 -7.126
Sr -2.474 -11.857 2.375
Sr -7.083 2.433 -7.001
Sr -2.471 -7.121 -7.001
Sr -11.899 -2.306 -2.250
Sr -7.210 -2.306 -11.752
Sr -2.471 -11.987 -2.501
Sr -7.083 -2.433 -2.501
Sr 2.344 -7.248 -7.252
Sr -2.344 -7.248 2.250
Sr -7.083 -11.987 2.501
Sr -2.471 -2.433 -16.503
Sr 7.210 -7.248 -11.752
Sr -7.210 -7.248 -2.250
Sr -2.471 2.433 -12.003
Sr -7.083 -7.121 7.001
Sr -16.765 -2.306 2.250
Sr -2.344 -2.306 -7.252
Al -4.831 -11.942 -4.822
Al -4.723 -2.388 -4.822
Al -7.165 -0.054 -0.072
Al -2.390 -9.609 -0.072
Al -4.723 2.388 -4.679
Al -4.831 -7.167 -4.679
Al -2.390 -9.500 -9.430
Al -7.165 0.054 -9.430
Al 4.723 -7.167 -4.822
Al -4.723 -7.167 4.679
Al -16.719 0.054 -0.072
Al -2.390 0.054 -9.573
Al -14.277 -2.388 -4.679
Al -4.831 -2.388 -14.181
Al 7.165 -9.609 -9.430
Al -7.165 -9.609 0.072
Al -11.959 -4.841 4.757
Al -7.150 -4.841 -4.744
Al -0.064 -7.181 -9.495
Al -9.491 2.373 -9.495
Al 2.404 -4.714 -14.259
Al -2.404 -4.714 -4.757
Al -9.491 -2.373 -0.006
Al -0.064 -11.927 -0.006
Al -11.959 -4.714 -4.744
Al 2.404 -14.268 -4.744
Al -0.064 -2.373 0.006
Al 0.064 -2.373 -9.495
Al 2.404 -4.841 -4.757
Al -11.959 4.714 -4.757
Al -9.491 -7.181 -9.508
Al -9.618 -7.181 -0.006
Al -4.849 -0.072 -7.126
Al -4.705 -9.626 -7.126
Al -14.404 -0.072 -2.375
Al -4.705 -0.072 -11.877
Al -4.705 -9.482 -2.375
Al -4.849 0.072 -2.375
Al 4.849 -9.482 -7.126
Al -4.849 -9.482 2.375
Al -9.554 -4.777 -7.126
Al -9.554 -4.777 2.375
Al 0.000 -4.777 -2.375
Al 0.000 -4.777 -11.877
Al 0.000 -14.332 -2.375
Al -9.554 -4.777 -2.375
Al 0.000 -4.777 -7.126
Al -9.554 4.777 -7.126
Mo -9.573 0.000 -4.751
Mo 0.018 -9.554 -4.751
Mo -4.777 4.759 -9.502
Mo -4.777 -4.796 -9.502
Mo -4.777 -14.313 0.000
Mo -4.777 -4.759 0.000
Mo -0.018 0.000 -4.751
Mo -9.536 -9.554 -4.751
O -6.434 -12.660 -4.759
O -3.120 -3.106 -4.759
O -7.883 -1.657 -0.008
O -1.671 -11.211 -0.008
O -3.120 3.106 -4.743
O -6.434 -6.449 -4.743
O -1.671 -7.897 -9.494
O -7.883 1.657 -9.494
O 3.120 -6.449 -4.759
O -12.675 3.106 -4.759
O -7.883 -7.897 -9.509
O -1.671 1.657 -9.509
O -12.675 -3.106 -4.743
O 3.120 -12.660 -4.743
O -1.671 -1.657 0.008
O -7.883 -11.211 0.008
O -3.413 -12.962 -4.730
O -6.141 -3.408 -4.730
O 1.369 -8.191 -9.481
O -1.369 -8.191 0.021
O -6.141 3.408 -4.772
O -3.413 -6.147 -4.772
O -10.924 -1.364 -0.021
O -8.185 -1.364 -9.523
O -3.413 3.408 -14.232
O -6.141 -6.147 4.772
O -17.739 -1.364 0.021
O -1.369 -1.364 -9.481
O -6.141 -12.962 4.730
O -3.413 -3.408 -14.274
O 8.185 -8.191 -9.523
O -8.185 -8.191 -0.021
O -4.754 -11.243 -6.434
O -4.800 -1.689 -6.434
O -6.466 0.023 -1.683
O -3.088 -9.531 -1.683
O -4.800 1.689 -3.068
O -4.754 -7.866 -3.068
O -3.088 -9.578 -7.819
O -6.466 -0.023 -7.819
O 4.800 -7.866 -6.434
O -4.800 -7.866 3.068
O -16.020 -0.023 -1.683
O -3.088 -0.023 -11.185
O -14.355 -1.689 -3.068
O -4.754 -1.689 -12.570
O 6.466 -9.531 -7.819
O -6.466 -9.531 1.683
O -11.092 -4.785 3.229
O -8.016 -4.785 -6.273
O -0.007 -6.315 -11.024
O 0.007 -6.315 -1.522
O 1.538 -4.770 -12.731
O -1.538 -4.770 -3.229
O -9.547 -3.239 1.522
O -9.562 -3.239 -7.980
O -11.092 -4.770 -6.273
O -8.016 -4.770 3.229
O -0.007 -3.239 -1.522
O 0.007 -3.239 -11.024
O 1.538 -4.785 -3.229
O -1.538 -4.785 -12.731
O -9.547 -6.315 -7.980
O -9.562 -6.315 1.522
O -8.012 4.768 -6.285
O -1.543 -4.787 -6.285
O -9.564 -3.235 -1.534
O 0.010 -12.789 -1.534
O -1.543 -14.322 -3.217
O -8.012 -4.768 -3.217
O 0.010 -6.320 -7.968
O -9.564 3.235 -7.968
O 1.543 -4.768 -6.285
O -11.097 4.787 -6.285
O -0.010 -15.874 -1.534
O -9.545 -6.320 -1.534
O -11.097 -4.787 -3.217
O 1.543 -14.341 -3.217
O -9.545 6.320 -7.968
O -0.010 -3.235 -7.968
O -4.776 1.338 -6.087
O -4.778 -8.216 -6.087
O -12.993 0.001 -1.336
O -6.115 0.001 -10.838
O -4.778 -10.893 -3.415
O -4.776 -1.338 -3.415
O 3.439 -9.555 -8.166
O -3.439 -9.555 1.336
O -4.776 -10.893 3.415
O 4.776 -10.893 -6.087
O -3.439 -0.001 -1.336
O -6.115 -9.555 -1.336
O -4.778 1.338 -12.917
O -14.331 1.338 -3.415
O -6.115 -9.553 -8.166
O -3.439 0.001 -8.166
O -10.627 0.019 -6.213
O 1.072 -9.535 -6.213
O -4.758 3.705 -10.964
O -4.797 -5.849 -10.964
O 1.072 -9.574 -3.289
O -10.627 -0.019 -3.289
O -4.797 -13.259 1.462
O -4.758 -3.705 1.462
O -1.072 -0.019 -6.213
O -8.482 -9.574 -6.213
O -4.758 -13.259 -1.462
O -4.797 -3.705 -1.462
O -8.482 -9.535 -3.289
O -1.072 0.019 -3.289
O -4.797 3.705 -8.040
O -4.758 -5.849 -8.040
O -8.518 1.465 -4.715
O -1.037 -8.089 -4.715
O -12.866 -3.740 0.036
O -6.242 -3.740 -9.466
O -1.037 -11.020 -4.787
O -8.518 -1.465 -4.787
O 3.312 -5.814 -9.538
O -3.312 -5.814 -0.036
O 1.037 -1.465 -4.715
O -1.037 -1.465 -14.217
O -3.312 -15.368 0.036
O -6.242 -5.814 0.036
O -10.591 -8.089 -4.787
O -8.518 -8.089 4.715
O -6.242 5.814 -9.538
O -3.312 -3.740 -9.538

---

24
Lattice="-5.300 -0.593 1.961 1.471 -4.205 2.705 3.472 1.398 9.806" Properties=species:S:1:pos:R:3 comment="AlMoW2O8 (PBE+U, optimized geometry)" de_polymorph_ev_per_atom=0.000 space_group="P2/c (13)" magnetic_moment_mub_per_fu=1.00 pbc="T T T"
Al -2.637 -0.043 3.748
Al 0.809 0.848 8.019
Mo -0.311 -1.967 4.513
Mo -0.046 -1.433 9.960
W 2.995 0.239 10.788
W 1.996 -2.536 7.251
W -3.351 -3.639 3.684
W -2.353 -0.864 7.221
O 0.332 -2.850 6.377
O -1.207 -1.112 2.742
O -0.689 -0.550 8.095
O 0.851 -2.288 11.731
O -1.352 -0.090 10.997
O -1.418 -3.075 9.914
O 0.995 -3.309 3.475
O 1.062 -0.325 4.558
O -1.815 -0.702 5.311
O -1.692 -3.555 4.782
O 1.459 -2.697 9.161
O 1.336 0.155 9.691
O -2.287 -2.900 7.369
O 1.930 -0.500 7.104
O -3.793 -1.645 3.676
O 3.437 -1.755 10.796

---

12
Lattice="-4.204 2.703 -1.356 -1.865 -2.273 -4.716 -3.740 -3.942 1.582" Properties=species:S:1:pos:R:3 comment="AlMoW2O8 (PBE+U, optimized geometry)" de_polymorph_ev_per_atom=0.046 space_group="P1 (1)" magnetic_moment_mub_per_fu=5.00 pbc="T T T"
Al -2.949 0.011 -0.974
Mo -3.275 -3.228 0.767
W -4.685 -2.812 -2.210
W -7.883 -3.159 -2.424
O -4.254 -2.318 -3.937
O -3.463 -1.836 -0.943
O -6.230 -4.039 -2.930
O -5.028 -4.049 -0.365
O -5.160 -0.335 -5.309
O -4.278 0.186 -2.262
O -6.349 -1.859 -1.737
O -7.897 -1.855 -3.971

---

22
Lattice="-0.171 -2.840 5.823 -4.852 1.296 4.097 -4.465 -4.523 1.270" Properties=species:S:1:pos:R:3 comment="Al2Ni2O7 (PBE+U, optimized geometry)" space_group="Fd-3m (227)" magnetic_moment_mub_per_fu=0.00 pbc="T T T"
Al -3.697 -1.531 6.359
Al -3.504 -4.440 4.945
Al -5.845 -2.372 4.082
Al -5.930 -3.792 6.994
Ni -3.418 -3.020 2.034
Ni -3.612 -0.110 3.447
Ni -1.271 -2.179 4.311
Ni -1.186 -0.758 1.399
O -7.116 -4.551 8.393
O -4.744 -3.034 5.595
O -2.420 0.389 2.138
O -4.683 -5.458 6.434
O -2.249 -2.172 0.894
O -0.359 -1.432 2.898
O -4.385 -1.602 2.697
O -2.495 -0.861 4.701
O -2.324 -3.422 3.457
O -7.305 -3.142 5.467
O -2.183 -2.926 5.723
O -4.805 -0.609 4.756
O -4.900 -2.200 8.017
O -4.588 -3.868 3.173

---

| no. | energy of formation from the pure elements (kJ per mole of atoms) |
| --- | --- |
| 1 | -317.9 |
| 2 | -218.4 |
| 3 | -213.9 |
| 4 | -166.6 |